TlV3Cr2S8: optimized geometry, PBE.

Computed properties:
Formation enthalpy at 0 K ... -1.097 eV per atom
Total magnetization ... 7.24 Bohr magnetons per cell

a = 8.8175 Å, b = 8.8175 Å, c = 8.7843 Å
α = 102.69°, β = 102.69°, γ = 21.93°
Fractional positions:
1 Tl 0.0000 0.0000 0.0000
2 V 0.1463 0.1463 0.4868
3 V 0.5000 0.5000 0.5000
4 V 0.8537 0.8537 0.5132
5 Cr 0.2045 0.2045 0.8310
6 Cr 0.7955 0.7955 0.1690
7 S 0.0716 0.0716 0.6705
8 S 0.2620 0.2620 0.3514
9 S 0.3301 0.3301 0.0083
10 S 0.4141 0.4141 0.6816
11 S 0.5859 0.5859 0.3184
12 S 0.6699 0.6699 0.9917
13 S 0.7380 0.7380 0.6486
14 S 0.9284 0.9284 0.3295